1.
{"formula": "MnAlN2", "functional": "PBE", "state": "optimized geometry", "cell": [[-2.7968, 4.6666, 0.7720], [-0.3462, -2.9273, 3.3863], [7.9704, -3.4817, -2.1950]], "species": ["Mn", "Mn", "Al", "Al", "N", "N", "N", "N"], "fractional_positions": [[0.0000, 0.5000, 0.7500], [0.0000, 0.0000, 0.5000], [0.0000, 0.5000, 0.2500], [0.0000, 0.0000, 0.0000], [0.5000, 0.0145, 0.1250], [0.5000, 0.9855, 0.6250], [0.4710, 0.4855, 0.3605], [0.5290, 0.5145, 0.8895]], "delta_e_f_mev_per_atom": -806, "energy_ev_per_atom": -8.02, "space_group": "I-42d (122)"}

---

2.
{"formula": "TiS2", "functional": "PBE", "state": "optimized geometry", "cell": [[-4.9094, -4.9094, 0.0000], [-4.9094, 0.0000, -4.9094], [0.0000, -4.9094, -4.9094]], "species": ["Ti", "Ti", "Ti", "Ti", "S", "S", "S", "S", "S", "S", "S", "S"], "fractional_positions": [[0.3750, 0.8750, 0.8750], [0.8750, 0.3750, 0.8750], [0.8750, 0.8750, 0.3750], [0.8750, 0.8750, 0.8750], [0.6272, 0.6272, 0.6272], [0.1228, 0.1228, 0.6316], [0.6316, 0.1228, 0.1228], [0.1228, 0.6316, 0.1228], [0.1228, 0.1228, 0.1228], [0.6272, 0.6272, 0.1184], [0.6272, 0.1184, 0.6272], [0.1184, 0.6272, 0.6272]], "delta_e_f_mev_per_atom": -1588, "energy_ev_per_atom": -6.64, "space_group": "Fd-3m (227)"}

---

3.
{"formula": "Na2MgTiSiS2O12", "functional": "PBE", "state": "optimized geometry", "cell": [[8.8367, 0.0000, 0.0000], [-4.4184, 7.6494, -0.0364], [0.0000, -0.1084, 22.3005]], "species": ["Na", "Na", "Na", "Na", "Na", "Na", "Na", "Na", "Na", "Na", "Na", "Na", "Mg", "Mg", "Mg", "Mg", "Mg", "Mg", "Ti", "Ti", "Ti", "Ti", "Ti", "Ti", "Si", "Si", "Si", "Si", "Si", "Si", "S", "S", "S", "S", "S", "S", "S", "S", "S", "S", "S", "S", "O", "O", "O", "O", "O", "O", "O", "O", "O", "O", "O", "O", "O", "O", "O", "O", "O", "O", "O", "O", "O", "O", "O", "O", "O", "O", "O", "O", "O", "O", "O", "O", "O", "O", "O", "O", "O", "O", "O", "O", "O", "O", "O", "O", "O", "O", "O", "O", "O", "O", "O", "O", "O", "O", "O", "O", "O", "O", "O", "O", "O", "O", "O", "O", "O", "O", "O", "O", "O", "O", "O", "O"], "fractional_positions": [[0.9969, 0.6317, 0.2432], [0.6348, 0.6317, 0.7432], [0.6548, 0.9598, 0.5766], [0.3050, 0.9598, 0.0766], [0.6968, 0.0293, 0.9111], [0.3325, 0.0293, 0.4111], [0.9866, 0.9967, 0.4949], [0.0101, 0.9967, 0.9949], [0.6609, 0.3169, 0.8288], [0.6560, 0.3169, 0.3288], [0.3291, 0.6539, 0.1622], [0.3249, 0.6539, 0.6622], [0.9977, 0.0075, 0.3518], [0.0098, 0.0075, 0.8518], [0.6635, 0.3269, 0.6852], [0.6634, 0.3269, 0.1852], [0.3223, 0.6655, 0.0189], [0.3431, 0.6655, 0.5189], [0.9825, 0.9858, 0.6481], [0.0033, 0.9858, 0.1481], [0.6713, 0.3430, 0.9802], [0.6717, 0.3430, 0.4802], [0.3487, 0.6920, 0.3137], [0.3434, 0.6920, 0.8137], [0.2997, 0.0104, 0.2545], [0.7107, 0.0104, 0.7545], [0.6596, 0.6187, 0.5886], [0.9591, 0.6187, 0.0886], [0.3286, 0.9670, 0.9217], [0.6383, 0.9670, 0.4217], [0.7072, 0.7106, 0.2508], [0.0029, 0.2903, 0.2502], [0.2874, 0.2903, 0.7502], [0.0034, 0.7106, 0.7508], [0.9584, 0.3357, 0.5836], [0.3701, 0.0440, 0.5826], [0.6740, 0.0440, 0.0826], [0.3774, 0.3357, 0.0836], [0.6197, 0.6620, 0.9172], [0.0448, 0.3799, 0.9171], [0.3352, 0.3799, 0.4171], [0.0423, 0.6620, 0.4172], [0.2033, 0.0170, 0.3137], [0.8159, 0.7945, 0.3035], [0.9790, 0.1874, 0.3037], [0.2084, 0.1874, 0.8037], [0.9785, 0.7945, 0.8035], [0.8137, 0.0170, 0.8137], [0.8054, 0.9675, 0.6938], [0.1805, 0.2027, 0.6953], [0.0328, 0.8202, 0.6956], [0.7874, 0.8202, 0.1956], [0.0222, 0.2027, 0.1953], [0.1620, 0.9675, 0.1938], [0.8777, 0.3572, 0.6372], [0.4863, 0.1242, 0.6342], [0.6476, 0.5177, 0.6482], [0.8701, 0.5177, 0.1482], [0.6379, 0.1242, 0.1342], [0.4795, 0.3572, 0.1372], [0.4572, 0.2983, 0.0290], [0.8278, 0.5180, 0.0285], [0.6946, 0.1486, 0.0266], [0.4540, 0.1486, 0.5266], [0.6903, 0.5180, 0.5285], [0.8411, 0.2983, 0.5290], [0.5328, 0.6840, 0.9694], [0.1471, 0.4578, 0.9714], [0.3178, 0.8582, 0.9795], [0.5404, 0.8582, 0.4795], [0.3107, 0.4578, 0.4714], [0.1512, 0.6840, 0.4694], [0.1202, 0.6347, 0.3607], [0.4965, 0.8632, 0.3613], [0.3583, 0.4855, 0.3629], [0.1272, 0.4855, 0.8629], [0.3667, 0.8632, 0.8613], [0.5144, 0.6347, 0.8607], [0.0233, 0.8178, 0.4121], [0.8259, 0.9900, 0.4110], [0.1875, 0.1993, 0.4117], [0.0118, 0.1993, 0.9117], [0.1641, 0.9900, 0.9110], [0.7945, 0.8178, 0.9121], [0.9711, 0.1706, 0.5880], [0.1989, 0.0365, 0.5889], [0.8478, 0.8217, 0.5915], [0.9739, 0.8217, 0.0915], [0.8376, 0.0365, 0.0889], [0.1995, 0.1706, 0.0880], [0.6794, 0.1693, 0.7437], [0.4670, 0.3189, 0.7451], [0.8484, 0.5365, 0.7441], [0.6881, 0.5365, 0.2441], [0.8519, 0.3189, 0.2451], [0.4899, 0.1693, 0.2437], [0.6364, 0.5011, 0.9217], [0.8639, 0.3626, 0.9219], [0.5202, 0.1578, 0.9248], [0.6376, 0.1578, 0.4248], [0.4987, 0.3626, 0.4219], [0.8647, 0.5011, 0.4217], [0.3568, 0.4878, 0.0745], [0.1569, 0.6592, 0.0817], [0.5233, 0.8650, 0.0762], [0.3418, 0.8650, 0.5762], [0.5023, 0.6592, 0.5817], [0.1310, 0.4878, 0.5745], [0.3018, 0.8162, 0.2577], [0.5290, 0.6919, 0.2557], [0.1651, 0.4681, 0.2545], [0.3030, 0.4681, 0.7545], [0.1629, 0.6919, 0.7557], [0.5144, 0.8162, 0.7577]], "delta_e_f_mev_per_atom": -2545, "energy_ev_per_atom": -6.60, "space_group": "Cc (9)"}

---

4.
{"formula": "LiAu4Se4Cl4O12", "functional": "PBE", "state": "optimized geometry", "cell": [[-2.4110, 1.5918, -3.6217], [3.4748, -7.0110, -6.5184], [-8.2401, -7.3116, 1.2965]], "species": ["Li", "Au", "Au", "Au", "Au", "Se", "Se", "Se", "Se", "Cl", "Cl", "Cl", "Cl", "O", "O", "O", "O", "O", "O", "O", "O", "O", "O", "O", "O"], "fractional_positions": [[0.2585, 0.0763, 0.2189], [0.0181, 0.5889, 0.1717], [0.9578, 0.0012, 0.0037], [0.0116, 0.4211, 0.8111], [0.0339, 0.9938, 0.5075], [0.7420, 0.8608, 0.2865], [0.1797, 0.7141, 0.8951], [0.7953, 0.3109, 0.0943], [0.2949, 0.1277, 0.7347], [0.3515, 0.4904, 0.6631], [0.6836, 0.5263, 0.3269], [0.3153, 0.1664, 0.4259], [0.7571, 0.8191, 0.5755], [0.6135, 0.9613, 0.1614], [0.7051, 0.3585, 0.9464], [0.0409, 0.7723, 0.2229], [0.0421, 0.1715, 0.0868], [0.0809, 0.4047, 0.1198], [0.8930, 0.8244, 0.9345], [0.3171, 0.6455, 0.0342], [0.9918, 0.2417, 0.7497], [0.9671, 0.9787, 0.3304], [0.9279, 0.6023, 0.8688], [0.3306, 0.0476, 0.8785], [0.0935, 0.0069, 0.6836]], "delta_e_f_mev_per_atom": -887, "energy_ev_per_atom": -4.39, "space_group": "P1 (1)", "polymorph_energy_ev_per_fu": 0.000}

---

5.
{"formula": "Mg14ZnW", "functional": "PBE", "state": "optimized geometry", "cell": [[-4.4422, 0.5990, 4.3568], [2.8850, -5.4890, -0.7881], [6.8489, 2.6494, 6.6187]], "species": ["Mg", "Mg", "Mg", "Mg", "Mg", "Mg", "Mg", "Mg", "Mg", "Mg", "Mg", "Mg", "Mg", "Mg", "Zn", "W"], "fractional_positions": [[0.1665, 0.8333, 0.1250], [0.1679, 0.8339, 0.6250], [0.6667, 0.3335, 0.1250], [0.6661, 0.3321, 0.6250], [0.6667, 0.8333, 0.1250], [0.6661, 0.8339, 0.6250], [0.3263, 0.1737, 0.3792], [0.3263, 0.1737, 0.8708], [0.3263, 0.6526, 0.3792], [0.3263, 0.6526, 0.8708], [0.8474, 0.1737, 0.3792], [0.8474, 0.1737, 0.8708], [0.8333, 0.6667, 0.3758], [0.8333, 0.6667, 0.8742], [0.1667, 0.3333, 0.1250], [0.1667, 0.3333, 0.6250]], "delta_e_f_mev_per_atom": 132, "energy_ev_per_atom": -2.16, "space_group": "P-6m2 (187)", "polymorph_energy_ev_per_fu": 0.000}

---

6.
{"formula": "Ce2Ga12Pd", "functional": "PBE", "state": "optimized geometry", "cell": [[6.1242, 0.0000, 0.0000], [0.0000, 6.1242, 0.0000], [0.0000, 0.0000, 15.6640]], "species": ["Ce", "Ce", "Ce", "Ce", "Ga", "Ga", "Ga", "Ga", "Ga", "Ga", "Ga", "Ga", "Ga", "Ga", "Ga", "Ga", "Ga", "Ga", "Ga", "Ga", "Ga", "Ga", "Ga", "Ga", "Ga", "Ga", "Ga", "Ga", "Pd", "Pd"], "fractional_positions": [[0.0000, 0.5000, 0.2457], [0.5000, 0.0000, 0.2457], [0.0000, 0.5000, 0.7543], [0.5000, 0.0000, 0.7543], [0.0000, 0.0000, 0.3409], [0.2498, 0.2502, 0.9108], [0.3236, 0.1764, 0.5720], [0.2498, 0.7498, 0.0892], [0.6764, 0.8236, 0.5720], [0.0000, 0.0000, 0.8147], [0.3236, 0.8236, 0.4280], [0.0000, 0.0000, 0.1853], [0.5000, 0.5000, 0.3409], [0.2502, 0.2498, 0.0892], [0.7498, 0.7502, 0.0892], [0.0000, 0.0000, 0.6591], [0.8236, 0.6764, 0.4280], [0.8236, 0.3236, 0.5720], [0.5000, 0.5000, 0.1853], [0.2502, 0.7502, 0.9108], [0.5000, 0.5000, 0.6591], [0.7502, 0.7498, 0.9108], [0.6764, 0.1764, 0.4280], [0.1764, 0.3236, 0.4280], [0.5000, 0.5000, 0.8147], [0.7498, 0.2498, 0.9108], [0.7502, 0.2502, 0.0892], [0.1764, 0.6764, 0.5720], [0.0000, 0.5000, 0.0000], [0.5000, 0.0000, 0.0000]], "delta_e_f_mev_per_atom": -417, "energy_ev_per_atom": -3.98, "space_group": "P4/nbm (125)"}

---

7.
{"formula": "LiCr2N3", "functional": "PBE", "state": "optimized geometry", "cell": [[-4.2550, 0.1307, 3.5824], [5.2584, -0.1213, 1.8901], [0.1276, 5.0322, -0.0320]], "species": ["Li", "Li", "Cr", "Cr", "Cr", "Cr", "N", "N", "N", "N", "N", "N"], "fractional_positions": [[0.0000, 0.6610, 0.4845], [0.0000, 0.3390, 0.9845], [0.3322, 0.3314, 0.4883], [0.6678, 0.9992, 0.4883], [0.6678, 0.6686, 0.9883], [0.3322, 0.0008, 0.9883], [0.3744, 0.3354, 0.8606], [0.6256, 0.9609, 0.8606], [0.6256, 0.6646, 0.3606], [0.3744, 0.0391, 0.3606], [0.0000, 0.7082, 0.9057], [0.0000, 0.2918, 0.4057]], "delta_e_f_mev_per_atom": -664, "energy_ev_per_atom": -8.19, "space_group": "Cmc2_1 (36)"}

---

8.
{"formula": "Ho2Mg2O5", "functional": "PBE", "state": "optimized geometry", "cell": [[3.8636, 0.0000, 0.0000], [0.0000, 3.8636, 0.0000], [0.0000, 0.0000, 7.2002]], "species": ["Ho", "Ho", "Mg", "Mg", "O", "O", "O", "O", "O"], "fractional_positions": [[0.0000, 0.0000, 0.0000], [0.0000, 0.0000, 0.5000], [0.5000, 0.5000, 0.2377], [0.5000, 0.5000, 0.7623], [0.5000, 0.0000, 0.1985], [0.5000, 0.0000, 0.8015], [0.0000, 0.5000, 0.1985], [0.0000, 0.5000, 0.8015], [0.5000, 0.5000, 0.5000]], "delta_e_f_mev_per_atom": -3181, "energy_ev_per_atom": -6.92, "space_group": "P4/mmm (123)"}